# 1
This record from the Materials Project database describes a relaxed FeP2O7 crystal. The functional is PBE+U.

Values from the calculation:
polymorph energy (0 for the lowest one)	58	kJ/mol of formula units
magnetization	4.00	μB per formula unit
formation enthalpy at 0 K	-2.203	eV/atom
total DFT energy (no corrections)	-6.89	eV/atom

Unit cell a=7.067 b=8.360 c=9.329 alpha=90.00 beta=112.33 gamma=90.00
Element x y z (fractional)
1 Fe 0.234 0.081 0.363
2 Fe 0.234 0.419 0.863
3 Fe 0.766 0.581 0.137
4 Fe 0.766 0.919 0.637
5 P 0.035 0.744 0.465
6 P 0.035 0.756 0.965
7 P 0.425 0.722 0.746
8 P 0.425 0.778 0.246
9 P 0.575 0.222 0.754
10 P 0.575 0.278 0.254
11 P 0.965 0.244 0.035
12 P 0.965 0.256 0.535
13 O 0.022 0.113 0.158
14 O 0.022 0.387 0.658
15 O 0.103 0.601 0.914
16 O 0.103 0.899 0.414
17 O 0.133 0.234 0.471
18 O 0.133 0.266 0.971
19 O 0.228 0.665 0.602
20 O 0.228 0.835 0.102
21 O 0.384 0.620 0.315
22 O 0.384 0.880 0.815
23 O 0.404 0.248 0.312
24 O 0.404 0.252 0.812
25 O 0.461 0.583 0.862
26 O 0.461 0.917 0.362
27 O 0.539 0.083 0.638
28 O 0.539 0.417 0.138
29 O 0.596 0.748 0.188
30 O 0.596 0.752 0.688
31 O 0.616 0.120 0.185
32 O 0.616 0.380 0.685
33 O 0.772 0.165 0.898
34 O 0.772 0.335 0.398
35 O 0.867 0.734 0.029
36 O 0.867 0.766 0.529
37 O 0.897 0.101 0.586
38 O 0.897 0.399 0.086
39 O 0.978 0.613 0.342
40 O 0.978 0.887 0.842

=====

# 2
This record from the Materials Project database describes a relaxed FePO4 crystal. The functional is PBE+U.

Values from the calculation:
magnetization	5.00	μB per formula unit
formation enthalpy at 0 K	-2.308	eV/atom
total DFT energy (no corrections)	-7.09	eV/atom

Unit cell a=10.343 b=7.404 c=5.287 alpha=90.00 beta=90.00 gamma=90.00
Element x y z (fractional)
1 Fe 0.172 0.026 0.000
2 Fe 0.328 0.526 0.500
3 Fe 0.672 0.474 0.000
4 Fe 0.828 0.974 0.500
5 P 0.097 0.792 0.501
6 P 0.403 0.292 0.001
7 P 0.597 0.708 0.501
8 P 0.903 0.208 0.001
9 O 0.051 0.218 0.959
10 O 0.128 0.835 0.782
11 O 0.155 0.946 0.337
12 O 0.159 0.609 0.431
13 O 0.341 0.109 0.931
14 O 0.345 0.446 0.837
15 O 0.372 0.335 0.282
16 O 0.449 0.718 0.459
17 O 0.551 0.282 0.959
18 O 0.628 0.665 0.782
19 O 0.655 0.554 0.337
20 O 0.659 0.891 0.431
21 O 0.841 0.391 0.931
22 O 0.845 0.054 0.837
23 O 0.872 0.165 0.282
24 O 0.949 0.782 0.459

=====

# 3
This record from the Materials Project database describes a relaxed Fe3P4O14 crystal. The functional is PBE+U.

Values from the calculation:
polymorph energy (0 for the lowest one)	0	kJ/mol of formula units
formation enthalpy at 0 K	-2.408	eV/atom
total DFT energy (no corrections)	-7.17	eV/atom

Unit cell a=9.082 b=12.397 c=10.326 alpha=90.00 beta=90.00 gamma=90.00
Element x y z (fractional)
1 Fe 0.247 0.250 0.119
2 Fe 0.249 0.511 0.621
3 Fe 0.249 0.989 0.621
4 Fe 0.251 0.011 0.121
5 Fe 0.251 0.489 0.121
6 Fe 0.253 0.750 0.619
7 Fe 0.747 0.250 0.381
8 Fe 0.749 0.511 0.879
9 Fe 0.749 0.989 0.879
10 Fe 0.751 0.011 0.379
11 Fe 0.751 0.489 0.379
12 Fe 0.753 0.750 0.881
13 P 0.073 0.127 0.865
14 P 0.073 0.373 0.865
15 P 0.087 0.133 0.380
16 P 0.087 0.367 0.380
17 P 0.413 0.633 0.880
18 P 0.413 0.867 0.880
19 P 0.427 0.627 0.365
20 P 0.427 0.873 0.365
21 P 0.573 0.127 0.635
22 P 0.573 0.373 0.635
23 P 0.587 0.133 0.120
24 P 0.587 0.367 0.120
25 P 0.913 0.633 0.620
26 P 0.913 0.867 0.620
27 P 0.927 0.627 0.135
28 P 0.927 0.873 0.135
29 O 0.047 0.250 0.820
30 O 0.079 0.580 0.109
31 O 0.079 0.920 0.109
32 O 0.082 0.632 0.629
33 O 0.082 0.868 0.629
34 O 0.130 0.250 0.437
35 O 0.148 0.051 0.473
36 O 0.148 0.449 0.473
37 O 0.153 0.072 0.754
38 O 0.153 0.428 0.754
39 O 0.158 0.126 0.245
40 O 0.158 0.374 0.245
41 O 0.165 0.132 0.990
42 O 0.165 0.368 0.990
43 O 0.335 0.632 0.490
44 O 0.335 0.868 0.490
45 O 0.342 0.626 0.745
46 O 0.342 0.874 0.745
47 O 0.347 0.572 0.254
48 O 0.347 0.928 0.254
49 O 0.352 0.551 0.973
50 O 0.352 0.949 0.973
51 O 0.370 0.750 0.937
52 O 0.418 0.132 0.129
53 O 0.418 0.368 0.129
54 O 0.421 0.080 0.609
55 O 0.421 0.420 0.609
56 O 0.453 0.750 0.320
57 O 0.547 0.250 0.680
58 O 0.579 0.580 0.391
59 O 0.579 0.920 0.391
60 O 0.582 0.632 0.871
61 O 0.582 0.868 0.871
62 O 0.630 0.250 0.063
63 O 0.648 0.051 0.027
64 O 0.648 0.449 0.027
65 O 0.653 0.072 0.746
66 O 0.653 0.428 0.746
67 O 0.658 0.126 0.255
68 O 0.658 0.374 0.255
69 O 0.665 0.132 0.510
70 O 0.665 0.368 0.510
71 O 0.835 0.632 0.010
72 O 0.835 0.868 0.010
73 O 0.842 0.626 0.755
74 O 0.842 0.874 0.755
75 O 0.847 0.572 0.246
76 O 0.847 0.928 0.246
77 O 0.852 0.551 0.527
78 O 0.852 0.949 0.527
79 O 0.870 0.750 0.563
80 O 0.918 0.132 0.371
81 O 0.918 0.368 0.371
82 O 0.921 0.080 0.891
83 O 0.921 0.420 0.891
84 O 0.953 0.750 0.180

=====

# 4
This record from the Materials Project database describes a relaxed Fe2PO5 crystal. The functional is PBE+U.

Values from the calculation:
polymorph energy (0 for the lowest one)	13	kJ/mol of formula units
magnetization	9.00	μB per formula unit
formation enthalpy at 0 K	-2.159	eV/atom
total DFT energy (no corrections)	-7.05	eV/atom

Unit cell a=7.373 b=7.373 c=5.458 alpha=111.57 beta=111.57 gamma=42.94
Element x y z (fractional)
1 Fe 0.000 0.000 0.000
2 Fe 0.000 0.000 0.500
3 Fe 0.000 0.500 0.000
4 Fe 0.500 0.000 0.000
5 P 0.374 0.374 0.627
6 P 0.626 0.626 0.373
7 O 0.125 0.125 0.891
8 O 0.204 0.681 0.703
9 O 0.301 0.301 0.781
10 O 0.313 0.313 0.321
11 O 0.319 0.796 0.297
12 O 0.681 0.204 0.703
13 O 0.687 0.687 0.679
14 O 0.699 0.699 0.219
15 O 0.796 0.319 0.297
16 O 0.875 0.875 0.109